(1)
## In2Sb4Pb4Se13 (PBE)

Data for In2Sb4Pb4Se13 after structural relaxation.

The calculation puts the volume at 28.18 A^3/atom. For the energy relative to the elements, the calculation gives -0.673 eV/atom. For the total energy, the calculation gives -3.9851 eV/atom.

CIF file:
```
data_In2Sb4Pb4Se13
_symmetry_space_group_name_H-M 'P b a m'
_symmetry_Int_Tables_number 55
_symmetry_space_group_name_Hall '-P 2 2ab'
_cell_length_a 22.473
_cell_length_b 27.931
_cell_length_c 4.130
_cell_angle_alpha 90.00
_cell_angle_beta 90.00
_cell_angle_gamma 90.00
loop_
_atom_site_label
_atom_site_type_symbol
_atom_site_fract_x
_atom_site_fract_y
_atom_site_fract_z
_atom_site_occupancy
In1 In 0.000 0.000 0.000 1
In2 In 0.000 0.500 0.000 1
In3 In 0.229 0.157 0.000 1
Sb1 Sb 0.022 0.344 0.000 1
Sb2 Sb 0.111 0.585 0.500 1
Sb3 Sb 0.144 0.891 0.000 1
Sb4 Sb 0.154 0.020 0.500 1
Pb1 Pb 0.032 0.151 0.500 1
Pb2 Pb 0.123 0.749 0.500 1
Pb3 Pb 0.169 0.271 0.500 1
Pb4 Pb 0.180 0.426 0.500 1
Se1 Se 0.011 0.429 0.500 1
Se2 Se 0.025 0.279 0.500 1
Se3 Se 0.062 0.816 0.000 1
Se4 Se 0.064 0.950 0.500 1
Se5 Se 0.082 0.069 0.000 1
Se6 Se 0.105 0.657 0.000 1
Se7 Se 0.118 0.511 0.000 1
Se8 Se 0.121 0.196 0.000 1
Se9 Se 0.149 0.355 0.000 1
Se10 Se 0.209 0.854 0.500 1
Se11 Se 0.222 0.976 0.000 1
Se12 Se 0.227 0.743 0.000 1
Se13 Se 0.250 0.100 0.500 1
```



(2)
## Sr21In8Pb7 (PBE)

Data for Sr21In8Pb7 after structural relaxation.

The calculation puts the volume at 38.50 A^3/atom. For the energy relative to the elements, the calculation gives -0.489 eV/atom. For the total energy, the calculation gives -2.8083 eV/atom.

CIF file:
```
data_Sr21In8Pb7
_symmetry_space_group_name_H-M 'F m -3 m'
_symmetry_Int_Tables_number 225
_symmetry_space_group_name_Hall '-F 4 2 3'
_cell_length_a 17.699
_cell_length_b 17.699
_cell_length_c 17.699
_cell_angle_alpha 90.00
_cell_angle_beta 90.00
_cell_angle_gamma 90.00
loop_
_atom_site_label
_atom_site_type_symbol
_atom_site_fract_x
_atom_site_fract_y
_atom_site_fract_z
_atom_site_occupancy
Sr1 Sr 0.000 0.000 0.000 1
Sr2 Sr 0.000 0.159 0.341 1
Sr3 Sr 0.128 0.128 0.128 1
In1 In 0.189 0.189 0.311 1
Pb1 Pb 0.000 0.000 0.213 1
Pb2 Pb 0.000 0.000 0.500 1
```



(3)
## In6Te10Pb (PBE)

Data for In6Te10Pb after structural relaxation.

The calculation puts the volume at 38.62 A^3/atom. For the energy relative to the elements, the calculation gives -0.327 eV/atom. For the total energy, the calculation gives -3.3655 eV/atom.

CIF file:
```
data_In6Te10Pb
_symmetry_space_group_name_H-M 'C 1 2 1'
_symmetry_Int_Tables_number 5
_symmetry_space_group_name_Hall 'C 2y'
_cell_length_a 15.636
_cell_length_b 15.388
_cell_length_c 10.917
_cell_angle_alpha 90.00
_cell_angle_beta 90.63
_cell_angle_gamma 90.00
loop_
_atom_site_label
_atom_site_type_symbol
_atom_site_fract_x
_atom_site_fract_y
_atom_site_fract_z
_atom_site_occupancy
In1 In 0.041 0.000 0.333 1
In2 In 0.043 0.514 0.827 1
In3 In 0.140 0.200 0.577 1
In4 In 0.210 0.582 0.124 1
In5 In 0.222 0.866 0.156 1
In6 In 0.244 0.633 0.745 1
Te1 Te 0.000 0.306 0.500 1
Te2 Te 0.000 0.385 0.000 1
Te3 Te 0.059 0.833 0.243 1
Te4 Te 0.087 0.134 0.168 1
Te5 Te 0.100 0.551 0.326 1
Te6 Te 0.118 0.668 0.930 1
Te7 Te 0.130 0.015 0.568 1
Te8 Te 0.164 0.217 0.837 1
Te9 Te 0.180 0.466 0.668 1
Te10 Te 0.208 0.920 0.907 1
Te11 Te 0.220 0.763 0.564 1
Pb1 Pb 0.135 0.347 0.258 1
```



(4)
## In3Pd2 (PBE)

Data for In3Pd2 after structural relaxation.

The calculation puts the volume at 20.84 A^3/atom. For the energy relative to the elements, the calculation gives -0.463 eV/atom. For the total energy, the calculation gives -4.1857 eV/atom.

CIF file:
```
data_In3Pd2
_symmetry_space_group_name_H-M 'P -3 m 1'
_symmetry_Int_Tables_number 164
_symmetry_space_group_name_Hall '-P 3 2"'
_cell_length_a 4.6417
_cell_length_b 4.6417
_cell_length_c 5.5859
_cell_angle_alpha 90.00
_cell_angle_beta 90.00
_cell_angle_gamma 120.00
loop_
_atom_site_label
_atom_site_type_symbol
_atom_site_fract_x
_atom_site_fract_y
_atom_site_fract_z
_atom_site_occupancy
In1 In 0.0000 0.0000 0.0000 1
In2 In 0.3333 0.6667 0.3567 1
Pd1 Pd 0.3333 0.6667 0.8546 1
```



(5)
## In3Pd (PBE)

Data for In3Pd after structural relaxation.

The calculation puts the volume at 22.21 A^3/atom. For the energy relative to the elements, the calculation gives -0.075 eV/atom. For the total energy, the calculation gives -3.4335 eV/atom.

CIF file:
```
data_In3Pd
_symmetry_space_group_name_H-M 'P m -3 m'
_symmetry_Int_Tables_number 221
_symmetry_space_group_name_Hall '-P 4 2 3'
_cell_length_a 4.462
_cell_length_b 4.462
_cell_length_c 4.462
_cell_angle_alpha 90.00
_cell_angle_beta 90.00
_cell_angle_gamma 90.00
loop_
_atom_site_label
_atom_site_type_symbol
_atom_site_fract_x
_atom_site_fract_y
_atom_site_fract_z
_atom_site_occupancy
In1 In 0.000 0.000 0.500 1
Pd1 Pd 0.500 0.500 0.500 1
```



(6)
## In3Pd (PBE)

Data for In3Pd after structural relaxation.

The calculation puts the volume at 22.53 A^3/atom. For the energy relative to the elements, the calculation gives -0.082 eV/atom. For the total energy, the calculation gives -3.4404 eV/atom.

CIF file:
```
data_In3Pd
_symmetry_space_group_name_H-M 'P 63/m m c'
_symmetry_Int_Tables_number 194
_symmetry_space_group_name_Hall '-P 6c 2c'
_cell_length_a 6.5436
_cell_length_b 6.5436
_cell_length_c 4.8602
_cell_angle_alpha 90.00
_cell_angle_beta 90.00
_cell_angle_gamma 120.00
loop_
_atom_site_label
_atom_site_type_symbol
_atom_site_fract_x
_atom_site_fract_y
_atom_site_fract_z
_atom_site_occupancy
In1 In 0.1746 0.3493 0.2500 1
Pd1 Pd 0.3333 0.6667 0.7500 1
```